[1]
A relaxed structure of Na10Nb4Zn4Si7S5O48. Source: Materials Project, functional PBE.

Computed properties:
space-group type = P1
crystal system = triclinic
DFT formation energy = -2.441 eV/atom

Geometry as extended XYZ:
```
234
Lattice="18.053 -0.088 0.096 -4.551 7.888 0.010 0.124 0.101 22.441" Properties=species:S:1:pos:R:3 pbc="T T T"
Zn 4.694 2.590 4.187
Zn -0.086 5.474 0.384
Zn 4.740 7.841 19.162
Zn 13.771 2.494 4.190
Zn 0.037 0.191 7.873
Zn 13.707 2.795 15.455
Zn 0.144 5.129 11.649
Zn 8.993 5.368 0.428
Zn 9.035 0.152 7.935
Zn -4.315 7.874 19.082
Zn 9.163 5.079 11.692
Zn 4.589 2.905 15.409
O 0.781 6.837 1.822
O -0.861 6.550 5.764
O 14.506 3.971 3.228
O 10.802 0.095 7.055
O -1.829 5.498 10.582
O 6.188 7.888 20.566
O 5.430 4.057 16.806
O 10.742 5.106 19.387
O 9.818 6.595 1.878
O 10.217 6.545 16.993
O 3.539 1.228 11.914
O 16.562 0.206 2.116
O 1.664 5.618 5.716
O 7.406 5.142 1.836
O 13.130 1.231 20.820
O 10.748 0.249 13.204
O 0.857 6.695 10.753
O 6.189 2.502 11.884
O 12.515 4.218 14.478
O 3.678 6.619 20.551
O 10.898 5.335 22.084
O 7.598 5.562 17.015
O 12.078 2.866 9.640
O 5.347 0.863 3.212
O -0.693 3.589 21.849
O 3.995 6.318 13.191
O 9.966 3.657 1.801
O 2.765 2.456 0.704
O 9.529 3.546 10.627
O 9.916 1.393 9.319
O 8.183 3.977 13.071
O 9.886 6.647 10.803
O 6.148 7.642 4.399
O -0.766 6.907 13.009
O 15.162 2.483 5.620
O -0.721 1.706 20.376
O 0.889 1.434 9.273
O -3.489 6.704 15.600
O 14.172 1.125 9.629
O 8.358 3.646 21.838
O 17.205 1.207 13.338
O 7.322 4.988 8.222
O 10.077 3.893 8.080
O 16.342 0.171 18.140
O 8.148 6.504 5.826
O 3.636 3.939 20.786
O -3.525 6.392 9.145
O -0.561 6.901 19.259
O 5.523 6.648 15.672
O 0.640 6.828 8.097
O 5.162 1.179 9.588
O 14.175 0.786 3.353
O 5.637 3.920 9.486
O 3.054 2.904 9.587
O 15.259 2.449 11.858
O 6.119 2.492 5.559
O 3.750 6.217 6.890
O 8.428 1.441 4.432
O -0.823 4.022 13.002
O 12.739 6.581 20.584
O 1.689 5.096 19.364
O 0.506 3.598 10.572
O 12.881 4.175 12.049
O 12.734 3.916 20.810
O 11.966 7.736 9.377
O 2.690 2.706 3.154
O 1.070 1.320 1.920
O -0.478 3.837 5.735
O 8.541 3.776 5.774
O 6.276 2.992 20.703
O -0.954 3.967 19.429
O 1.757 5.332 22.016
O 12.486 6.395 4.468
O 1.731 0.312 13.158
O 1.162 6.604 16.932
O 3.041 2.454 16.659
O 0.946 3.716 1.818
O 7.204 5.450 10.634
O -2.898 7.697 4.382
O 10.105 1.224 2.004
O -1.171 6.623 21.832
O 12.659 4.178 5.558
O 12.596 1.318 5.594
O 8.263 6.861 13.069
O 10.115 1.404 18.156
O 2.942 7.779 9.339
O 9.665 6.772 8.148
O 14.123 6.363 2.121
O 1.841 0.200 7.015
O 7.352 0.186 18.083
O 0.707 3.899 17.020
O 7.388 0.241 2.007
O 5.533 1.187 0.779
O 16.986 1.423 7.078
O 10.854 5.160 13.065
O 3.753 1.030 14.355
O 6.346 2.714 14.558
O 5.086 6.439 2.091
O -1.534 5.030 1.758
O 14.308 6.153 18.310
O 12.568 1.179 11.977
O 8.287 1.654 20.448
O 14.532 1.045 16.792
O 9.703 1.591 15.572
O 12.046 2.496 16.707
O 10.697 5.567 5.763
O 5.338 6.175 18.332
O 14.649 3.888 9.527
O 1.154 1.550 18.229
O 1.744 0.126 20.476
O 7.916 1.474 7.054
O 8.037 3.885 19.408
O 3.851 4.248 11.945
O 2.822 7.724 15.660
O 5.181 4.116 0.595
O 14.183 4.159 0.610
O 12.747 0.976 14.424
O 5.578 1.103 16.753
O -0.584 1.562 4.333
O 1.837 5.212 13.002
O 3.615 1.340 5.461
O 9.712 3.846 17.034
O 13.011 6.280 13.243
O -1.431 5.618 16.963
O 3.612 4.209 5.543
O 8.148 1.233 13.296
O 0.709 1.615 15.584
O 11.847 7.686 15.724
O 3.501 4.221 14.368
O 7.968 6.749 22.011
O 3.473 6.439 4.463
O -1.704 5.032 8.173
O 14.522 1.303 0.765
O 1.058 3.938 8.032
O 8.442 6.823 19.373
O 11.805 2.342 0.804
O 5.377 4.057 3.242
O 14.296 4.085 16.826
O 5.500 6.339 9.206
O 12.797 6.192 6.902
O 15.311 2.657 14.490
O 11.651 2.704 3.223
O 15.299 2.954 20.711
O 4.090 1.248 20.835
Na 14.827 5.473 20.588
Na -0.238 5.374 3.605
Na 14.720 0.130 5.573
Na 13.619 7.782 22.325
Na 10.735 2.712 5.701
Na 2.831 0.260 9.180
Na 13.397 7.845 11.206
Na 1.688 2.388 20.356
Na 11.852 0.216 9.219
Na 3.299 0.140 16.876
Na 8.758 5.173 3.635
Na 7.396 2.912 16.645
Na -0.015 5.072 14.802
Na 11.799 5.443 1.702
Na 7.631 2.266 9.347
Na 5.732 0.163 5.669
Na 4.491 2.812 18.476
Na 7.511 7.455 1.779
Na -1.319 2.717 1.887
Na 13.617 2.671 7.338
Na 1.699 2.725 5.656
Na 4.375 7.889 11.152
Na 13.601 2.676 18.631
Na 5.795 5.536 20.509
Na 12.098 4.916 16.921
Na 16.656 2.213 9.392
Na 9.009 5.163 14.777
Na 12.269 0.122 16.920
Na 4.493 7.928 22.244
Na 4.601 2.714 7.310
Si 7.168 7.856 5.773
Si 1.451 2.414 16.919
Si 7.761 7.667 20.724
Si 1.386 2.967 9.424
Si 7.702 2.323 5.711
Si 11.762 5.318 20.749
Si 5.881 5.589 16.958
Si 2.651 5.418 20.719
Si -1.238 7.650 20.625
Si -1.310 2.373 5.657
Si 10.407 7.434 9.542
Si -1.845 7.898 5.700
Si 1.380 7.481 9.496
Si 10.411 2.927 9.471
Si 16.285 2.659 13.249
Si -3.107 5.628 16.875
Si 10.455 2.347 16.937
Si 7.244 2.693 13.238
Si 14.879 0.225 2.028
Si 5.834 4.881 1.982
Si 14.911 4.864 1.979
Nb 4.626 2.784 21.962
Nb 4.610 2.583 10.811
Nb 0.133 5.342 18.240
Nb 9.154 0.108 14.549
Nb 0.028 5.271 7.067
Nb 9.131 5.335 18.358
Nb 0.151 0.197 14.514
Nb 9.062 5.236 7.104
Nb 13.673 2.671 22.039
Nb 13.644 2.532 10.855
Nb 4.572 7.834 3.377
Nb 0.124 0.028 3.262
S -1.232 3.050 20.599
S 12.281 0.314 13.216
S 3.270 4.988 13.143
S 3.200 5.604 5.701
S 5.873 0.306 1.954
S 1.901 2.619 1.935
S 3.266 0.360 13.161
S 7.827 3.013 20.656
S 1.978 7.882 16.898
S 10.995 7.888 16.954
S 12.296 4.950 13.218
S 10.888 2.545 1.985
S 6.417 5.230 9.442
S -2.616 5.277 9.392
S 12.239 5.573 5.721
```

=====

[2]
A relaxed structure of Na6Nb20Zn4Si21S15O144. Source: Materials Project, functional PBE.

Computed properties:
space-group type = P1
crystal system = triclinic
DFT formation energy = -2.653 eV/atom

Geometry as extended XYZ:
```
210
Lattice="17.787 0.012 0.002 -4.442 7.705 0.000 0.001 0.001 23.003" Properties=species:S:1:pos:R:3 pbc="T T T"
O 11.673 2.397 0.692
O 13.984 4.143 17.129
O 7.804 1.397 6.938
O 13.943 4.101 0.595
O 5.288 1.258 16.955
O 0.557 6.626 8.288
O 14.992 2.769 14.713
O 14.256 1.327 0.604
O 10.632 4.928 13.222
O 7.299 5.323 10.926
O 14.310 3.810 3.224
O 10.475 0.267 7.083
O 8.138 3.587 5.914
O 16.915 1.235 13.414
O 16.731 1.416 6.993
O 5.482 6.290 16.063
O 2.882 7.518 15.940
O 12.396 6.361 20.820
O 5.109 0.971 3.102
O 1.037 3.926 1.637
O 0.739 1.687 16.049
O 5.441 3.917 3.207
O 12.688 4.009 5.441
O 10.009 3.820 1.750
O 9.896 6.550 10.809
O 6.155 7.453 20.922
O 7.945 1.284 13.660
O 8.167 1.657 4.499
O 3.851 1.142 21.241
O 6.231 7.474 4.377
O 3.825 3.975 12.123
O 0.636 1.606 9.447
O 3.461 6.286 20.970
O 0.979 6.429 10.901
O 14.907 2.784 21.225
O 16.213 0.238 18.574
O -1.697 5.282 17.462
O 0.735 3.592 17.525
O 6.011 2.775 14.713
O 9.598 6.755 8.382
O 9.612 1.602 16.060
O -0.927 6.426 22.377
O 9.458 1.532 9.325
O 8.240 6.721 19.880
O 11.629 7.580 9.513
O -0.573 6.638 19.761
O 7.148 0.347 18.595
O 12.334 3.733 21.240
O 11.677 2.504 17.037
O 1.834 0.322 6.964
O 5.078 3.974 0.634
O 7.976 6.458 6.137
O 2.854 2.310 0.601
O 5.122 4.093 17.090
O 12.315 1.328 12.115
O 12.657 4.110 12.188
O 5.995 2.794 21.274
O 8.372 6.646 13.155
O 12.319 3.949 14.619
O 10.475 5.338 5.938
O -1.020 6.485 5.888
O 4.994 6.322 1.843
O 11.789 2.778 9.787
O 3.433 3.809 14.736
O 0.965 6.367 17.460
O 11.627 2.757 3.118
O 11.608 7.377 15.944
O 7.904 3.851 19.766
O 1.712 4.949 19.868
O 9.916 3.913 8.265
O 3.549 1.171 5.531
O 13.907 1.074 3.223
O 9.563 3.728 10.899
O 2.747 2.786 9.749
O 5.115 6.056 18.486
O 1.564 5.201 6.145
O -3.333 6.282 16.022
O 14.878 2.392 12.136
O 7.338 4.879 8.277
O 12.759 6.088 13.502
O -0.603 6.769 13.286
O 10.083 1.433 18.466
O 0.963 1.322 2.288
O 1.083 1.373 18.469
O 3.757 1.019 14.636
O 10.505 5.357 22.409
O 14.029 6.138 18.447
O 5.440 6.425 9.451
O 1.711 5.310 22.290
O -0.981 3.904 13.151
O 5.419 1.199 0.669
O -1.581 4.924 1.720
O 12.434 1.332 5.622
O 7.321 4.915 1.651
O -0.631 3.663 22.414
O 13.984 6.258 2.152
O -0.957 3.889 19.756
O 14.300 3.819 9.792
O 10.474 4.893 19.775
O 2.820 7.582 9.284
O 12.678 0.990 21.226
O 0.711 3.573 10.822
O 7.190 0.295 1.984
O 3.364 3.870 21.196
O 3.873 6.153 13.652
O 3.851 3.989 5.607
O -1.625 4.911 8.264
O 3.857 6.219 7.074
O 9.900 1.411 1.990
O 14.263 1.371 17.119
O 12.399 6.481 4.441
O 10.516 0.176 13.810
O -3.451 6.534 9.608
O 2.900 2.791 3.215
O 7.892 6.542 22.311
O -0.587 1.505 20.879
O -1.535 5.284 10.863
O -2.705 7.540 4.554
O 7.192 5.309 17.419
O 3.410 1.205 12.215
O 9.742 6.476 17.634
O 4.936 1.100 9.776
O 9.546 3.587 17.404
O 8.367 1.455 21.105
O 7.920 3.890 13.246
O 13.934 1.000 9.727
O 3.200 6.337 4.401
O 1.709 0.193 13.592
O 9.488 6.604 1.630
O 8.260 3.746 22.362
O 1.053 3.772 8.389
O 2.799 2.395 17.152
O 12.760 1.112 14.724
O 15.033 2.403 5.618
O 16.157 0.280 2.126
O 12.794 6.047 7.093
O 6.055 2.321 12.096
O 5.410 3.815 9.738
O -0.669 3.576 5.930
O -0.689 1.608 4.563
O 1.555 4.924 13.155
O -2.833 7.484 20.720
O 0.677 6.740 1.683
O 6.080 2.352 5.604
Na 8.885 0.018 0.040
Na 13.330 2.570 19.194
Na 4.470 2.576 7.656
Na 13.333 7.697 11.480
Na 13.267 2.659 7.687
Na 4.528 2.494 19.251
Nb 13.240 7.671 3.191
Nb 13.348 2.519 4.402
Nb 8.819 5.093 12.050
Nb -0.037 5.224 7.178
Nb 8.937 5.084 18.693
Nb -0.048 5.192 12.048
Nb -0.087 5.098 0.585
Nb 4.363 7.644 14.689
Nb 8.906 5.071 0.584
Nb 8.923 5.084 7.042
Nb 4.476 2.595 15.807
Nb 4.445 2.760 4.287
Nb 13.354 2.558 10.974
Nb 4.460 2.586 22.518
Nb 13.475 2.484 15.758
Nb -0.033 5.238 18.639
Nb 17.683 0.025 19.827
Nb 13.436 2.648 22.505
Nb 4.538 7.642 8.285
Nb 4.548 2.621 10.951
Si 1.912 2.575 1.906
Si 10.170 2.968 9.566
Si 6.367 0.014 17.269
Si 14.530 0.362 1.911
Si 12.108 5.528 5.773
Si 6.417 5.135 9.556
Si 6.966 7.707 5.748
Si 5.696 4.908 1.863
Si 14.597 4.761 1.971
Si 11.412 5.075 21.124
Si 6.994 2.576 13.410
Si -1.250 2.991 21.070
Si 15.982 2.517 13.351
Si -1.254 7.373 21.098
Si 7.647 2.879 21.102
Si 12.080 0.363 13.393
Si 3.145 5.552 5.763
Si 3.121 4.710 13.399
Si -2.588 5.193 9.585
Si 1.265 7.355 9.602
Si 10.803 7.689 17.253
S 2.574 0.040 5.740
S 10.189 7.349 9.594
S 7.597 7.334 21.099
S 14.598 5.519 17.233
S 10.208 2.226 17.247
S 12.099 4.793 13.400
S 3.135 0.383 13.417
S 10.799 2.539 1.907
S 5.748 0.375 1.903
S -1.248 2.207 5.794
S 1.291 2.227 17.275
S 1.245 2.920 9.600
S 7.598 2.182 5.718
S 2.556 5.150 21.092
S 5.721 5.504 17.287
Zn 4.532 7.397 3.489
Zn 13.411 7.496 8.155
Zn 17.572 0.097 14.881
Zn 8.724 0.192 19.657
```

=====

Question: The lowest DFT formation energy belongs to which entry?
Answer: Na6Nb20Zn4Si21S15O144

=====

Question: Number 1 is which compound?
Answer: Na10Nb4Zn4Si7S5O48

=====

Question: The highest DFT formation energy belongs to which entry?
Answer: Na10Nb4Zn4Si7S5O48

=====

Question: The lowest DFT formation energy belongs to which entry?
Answer: Na6Nb20Zn4Si21S15O144